Compound: Li20Co21O40
Source: Materials Project
Functional: PBE+U
Structure: relaxed

Structure (POSCAR):
```
Li20Co21O40
1.0
-6.425 6.425 4.063
6.425 -6.425 4.063
6.425 6.425 -4.063
Li Co O
20 21 40
direct
0.028 0.677 0.451
0.030 0.184 0.460
0.032 0.235 0.932
0.130 0.382 0.744
0.226 0.577 0.549
0.233 0.589 0.055
0.303 0.100 0.068
0.323 0.774 0.351
0.411 0.466 0.644
0.423 0.972 0.649
0.430 0.970 0.154
0.534 0.178 0.945
0.613 0.870 0.252
0.618 0.362 0.748
0.638 0.387 0.256
0.724 0.570 0.540
0.765 0.697 0.796
0.816 0.276 0.846
0.822 0.767 0.356
0.900 0.968 0.204
0.000 0.000 0.000
0.026 0.674 0.950
0.124 0.376 0.251
0.125 0.873 0.749
0.127 0.876 0.252
0.226 0.075 0.552
0.325 0.275 0.850
0.326 0.276 0.352
0.326 0.774 0.849
0.425 0.475 0.150
0.523 0.674 0.448
0.525 0.675 0.950
0.526 0.176 0.452
0.624 0.875 0.748
0.724 0.074 0.548
0.724 0.077 0.050
0.725 0.575 0.050
0.824 0.276 0.350
0.923 0.974 0.648
0.925 0.477 0.151
0.926 0.474 0.650
0.059 0.507 0.338
0.079 0.536 0.843
0.083 0.026 0.838
0.096 0.032 0.358
0.157 0.720 0.148
0.169 0.720 0.662
0.174 0.211 0.655
0.189 0.245 0.162
0.263 0.904 0.936
0.280 0.428 0.438
0.280 0.941 0.449
0.296 0.434 0.954
0.356 0.118 0.747
0.371 0.608 0.253
0.372 0.124 0.266
0.392 0.644 0.762
0.464 0.307 0.543
0.480 0.342 0.046
0.482 0.826 0.037
0.493 0.831 0.551
0.555 0.518 0.345
0.566 0.520 0.862
0.572 0.010 0.852
0.589 0.045 0.362
0.658 0.704 0.138
0.674 0.737 0.642
0.682 0.227 0.638
0.693 0.236 0.157
0.755 0.917 0.944
0.764 0.921 0.457
0.773 0.411 0.455
0.789 0.445 0.963
0.858 0.106 0.734
0.876 0.142 0.248
0.882 0.629 0.238
0.894 0.628 0.752
0.955 0.318 0.545
0.968 0.326 0.064
0.974 0.811 0.056
0.990 0.843 0.562
```

Summary:
Energy of formation: -135.6 eV/f.u.
Final energy: -5.67 eV per atom
Excess energy over the best structure of this formula in the dataset: 20 meV/atom
SG: I-4 (82)